{
  "formula": "CsNb2PS10",
  "functional": "PBE",
  "state": "optimized geometry",
  "lattice": [[-0.322, -7.754, 0.232], [12.993, -0.601, -2.069], [3.654, 0.267, 13.985]],
  "species": ["S", "S", "S", "S", "S", "S", "S", "S", "S", "S", "S", "S", "S", "S", "S", "S", "S", "S", "S", "S", "S", "S", "S", "S", "S", "S", "S", "S", "S", "S", "S", "S", "S", "S", "S", "S", "S", "S", "S", "S", "Cs", "Cs", "Cs", "Cs", "P", "P", "P", "P", "Nb", "Nb", "Nb", "Nb", "Nb", "Nb", "Nb", "Nb"],
  "fractional_positions": [[0.893, 0.501, 0.997], [0.846, 0.286, 0.899], [0.601, 0.155, 0.370], [0.855, 0.796, 0.747], [0.879, 0.079, 0.742], [0.585, 0.527, 0.205], [0.611, 0.653, 0.887], [0.874, 0.731, 0.497], [0.856, 0.030, 0.251], [0.107, 0.001, 0.997], [0.951, 0.772, 0.991], [0.596, 0.915, 0.869], [0.051, 0.506, 0.494], [0.121, 0.579, 0.742], [0.123, 0.020, 0.748], [0.389, 0.153, 0.887], [0.604, 0.893, 0.389], [0.865, 0.752, 0.251], [0.857, 0.047, 0.990], [0.404, 0.415, 0.869], [0.109, 0.811, 0.246], [0.876, 0.277, 0.497], [0.153, 0.015, 0.403], [0.414, 0.784, 0.704], [0.396, 0.393, 0.389], [0.399, 0.655, 0.370], [0.586, 0.284, 0.704], [0.145, 0.296, 0.747], [0.154, 0.786, 0.899], [0.143, 0.547, 0.990], [0.135, 0.252, 0.251], [0.949, 0.006, 0.494], [0.126, 0.231, 0.497], [0.124, 0.777, 0.497], [0.415, 0.027, 0.205], [0.847, 0.515, 0.403], [0.144, 0.530, 0.251], [0.877, 0.520, 0.748], [0.049, 0.272, 0.991], [0.891, 0.311, 0.246], [0.500, 0.037, 0.599], [0.482, 0.781, 0.098], [0.500, 0.537, 0.599], [0.518, 0.281, 0.098], [0.400, 0.286, 0.798], [0.600, 0.786, 0.798], [0.400, 0.525, 0.300], [0.600, 0.025, 0.300], [0.939, 0.164, 0.372], [0.065, 0.373, 0.374], [0.931, 0.931, 0.868], [0.061, 0.664, 0.372], [0.935, 0.873, 0.374], [0.943, 0.640, 0.871], [0.057, 0.140, 0.871], [0.069, 0.431, 0.868]],
  "total_magnetization_mub_per_cell": 0.00,
  "formation_energy_ev_per_atom": -1.09
}

{
  "formula": "CsNb2PSe10",
  "functional": "PBE",
  "state": "optimized geometry",
  "lattice": [[8.111, 0.000, 0.000], [0.000, 13.795, 0.000], [0.000, 2.168, 15.003]],
  "species": ["Se", "Se", "Se", "Se", "Se", "Se", "Se", "Se", "Se", "Se", "Se", "Se", "Se", "Se", "Se", "Se", "Se", "Se", "Se", "Se", "Se", "Se", "Se", "Se", "Se", "Se", "Se", "Se", "Se", "Se", "Se", "Se", "Se", "Se", "Se", "Se", "Se", "Se", "Se", "Se", "Nb", "Nb", "Nb", "Nb", "Nb", "Nb", "Nb", "Nb", "P", "P", "P", "P", "Cs", "Cs", "Cs", "Cs"],
  "fractional_positions": [[0.118, 0.499, 0.004], [0.060, 0.985, 0.506], [0.858, 0.449, 0.753], [0.602, 0.206, 0.302], [0.397, 0.095, 0.604], [0.115, 0.663, 0.759], [0.939, 0.726, 0.009], [0.142, 0.949, 0.753], [0.608, 0.842, 0.107], [0.590, 0.568, 0.139], [0.885, 0.163, 0.759], [0.595, 0.321, 0.639], [0.857, 0.690, 0.256], [0.847, 0.729, 0.749], [0.602, 0.958, 0.800], [0.405, 0.821, 0.639], [0.158, 0.950, 0.013], [0.837, 0.969, 0.608], [0.392, 0.342, 0.107], [0.603, 0.595, 0.604], [0.858, 0.969, 0.252], [0.142, 0.469, 0.252], [0.141, 0.712, 0.506], [0.398, 0.458, 0.800], [0.842, 0.450, 0.013], [0.940, 0.485, 0.506], [0.153, 0.229, 0.749], [0.126, 0.902, 0.262], [0.874, 0.402, 0.262], [0.838, 0.206, 0.112], [0.163, 0.469, 0.608], [0.859, 0.212, 0.506], [0.143, 0.190, 0.256], [0.410, 0.068, 0.139], [0.162, 0.706, 0.112], [0.865, 0.761, 0.504], [0.061, 0.226, 0.009], [0.135, 0.261, 0.504], [0.882, 0.999, 0.004], [0.398, 0.706, 0.302], [0.067, 0.059, 0.135], [0.056, 0.353, 0.131], [0.063, 0.112, 0.628], [0.944, 0.853, 0.131], [0.059, 0.818, 0.632], [0.937, 0.612, 0.628], [0.941, 0.318, 0.632], [0.933, 0.559, 0.135], [0.406, 0.203, 0.204], [0.594, 0.703, 0.204], [0.593, 0.457, 0.703], [0.407, 0.957, 0.703], [0.472, 0.706, 0.909], [0.494, 0.950, 0.407], [0.506, 0.450, 0.407], [0.528, 0.206, 0.909]],
  "total_magnetization_mub_per_cell": 0.00,
  "formation_energy_ev_per_atom": -0.93
}